1.
Entry from the Materials Project: a relaxed KMgNi2H3Se2O10 crystal (GGA+U).

a = 6.0337 Å, b = 6.0337 Å, c = 8.3902 Å
α = 116.20°, β = 116.20°, γ = 66.72°
Atoms (fractional coordinates):
K (0.0000, 0.0000, 0.0000)
Mg (0.9478, 0.9478, 0.3218)
Ni (0.4807, 0.9945, 0.5428)
Ni (0.9945, 0.4807, 0.5428)
H (0.0839, 0.0839, 0.6885)
H (0.2510, 0.2510, 0.8603)
H (0.7039, 0.7039, 0.3197)
Se (0.3886, 0.3886, 0.2930)
Se (0.5938, 0.5938, 0.8144)
O (0.1802, 0.1802, 0.3933)
O (0.1913, 0.1913, 0.7163)
O (0.2725, 0.2725, 0.0567)
O (0.2737, 0.6853, 0.7537)
O (0.3034, 0.7168, 0.3240)
O (0.6853, 0.2737, 0.7537)
O (0.6958, 0.6958, 0.7043)
O (0.7168, 0.3034, 0.3240)
O (0.7255, 0.7255, 0.0450)
O (0.8054, 0.8054, 0.4389)

Properties
E = -5.02 eV/atom
polymorph energy (0 for the lowest one) = 39 meV/atom
SG = Cm (8)


2.
Entry from the Materials Project: a relaxed KMgNi2H3Se2O10 crystal (GGA+U).

a = 5.8526 Å, b = 5.9145 Å, c = 8.1169 Å
α = 68.88°, β = 69.03°, γ = 69.40°
Atoms (fractional coordinates):
K (0.0000, 0.0000, 0.0000)
Mg (0.5138, 0.4706, 0.9989)
Ni (0.3613, 0.1015, 0.4862)
Ni (0.8961, 0.6040, 0.5022)
H (0.0407, 0.3001, 0.2902)
H (0.7015, 0.9344, 0.7092)
H (0.8387, 0.0964, 0.5126)
Se (0.3292, 0.5160, 0.7194)
Se (0.4807, 0.6550, 0.2744)
O (0.0093, 0.2753, 0.4210)
O (0.1576, 0.3639, 0.6604)
O (0.1606, 0.7846, 0.3085)
O (0.1955, 0.8327, 0.6930)
O (0.2232, 0.4131, 0.9557)
O (0.5296, 0.3258, 0.2541)
O (0.5729, 0.7628, 0.0369)
O (0.6153, 0.8340, 0.3386)
O (0.6585, 0.4649, 0.7408)
O (0.7170, 0.9746, 0.5783)

Properties
E = -4.96 eV/atom
polymorph energy (0 for the lowest one) = 106 meV/atom
SG = P1 (1)


3.
Entry from the Materials Project: a relaxed KMgNi2H3Se2O10 crystal (GGA+U).

a = 5.8202 Å, b = 5.9301 Å, c = 7.7725 Å
α = 105.41°, β = 96.67°, γ = 115.87°
Atoms (fractional coordinates):
K (0.0000, 0.0000, 0.0000)
Mg (0.3927, 0.7193, 0.7977)
Ni (0.4202, 0.3990, 0.4682)
Ni (0.9199, 0.8806, 0.5000)
H (0.0925, 0.2915, 0.7051)
H (0.7283, 0.3520, 0.2350)
H (0.8671, 0.3860, 0.4377)
Se (0.3363, 0.7525, 0.2314)
Se (0.5540, 0.2338, 0.8022)
O (0.0975, 0.3255, 0.5884)
O (0.1871, 0.6722, 0.0102)
O (0.2150, 0.4670, 0.2765)
O (0.2288, 0.9487, 0.7125)
O (0.2328, 0.9658, 0.3485)
O (0.5061, 0.4909, 0.9138)
O (0.6323, 0.1384, 0.9819)
O (0.6454, 0.7611, 0.6362)
O (0.6660, 0.9006, 0.2834)
O (0.7581, 0.4441, 0.3703)

Properties
E = -5.05 eV/atom
polymorph energy (0 for the lowest one) = 17 meV/atom
SG = P1 (1)


4.
Entry from the Materials Project: a relaxed KMgNi2H3Se2O10 crystal (GGA+U).

a = 5.8208 Å, b = 5.8534 Å, c = 9.3701 Å
α = 74.22°, β = 74.60°, γ = 61.21°
Atoms (fractional coordinates):
K (0.0000, 0.0000, 0.0000)
Mg (0.4480, 0.4421, 0.3966)
Ni (0.4398, 0.9087, 0.5659)
Ni (0.9134, 0.4377, 0.5666)
H (0.1862, 0.1938, 0.3314)
H (0.6750, 0.6648, 0.8524)
H (0.8528, 0.8454, 0.6660)
Se (0.3962, 0.3912, 0.7642)
Se (0.6427, 0.6335, 0.1233)
O (0.2285, 0.2275, 0.4155)
O (0.2468, 0.7260, 0.7378)
O (0.2810, 0.2740, 0.9318)
O (0.3091, 0.3054, 0.6299)
O (0.3221, 0.7456, 0.2149)
O (0.5981, 0.5826, 0.9545)
O (0.6146, 0.6129, 0.4599)
O (0.7322, 0.2428, 0.7382)
O (0.7513, 0.7468, 0.6777)
O (0.7594, 0.3151, 0.2185)

Properties
E = -5.04 eV/atom
polymorph energy (0 for the lowest one) = 28 meV/atom
SG = P1 (1)


Look up the polymorph energy (0 for the lowest one) of the first one.
39 meV/atom